1.
The following is a r2SCAN calculation of an optimized crystal structure of CaH8Cl2O4, from Materials Project.

The structure in CIF format:
```
data_CaH8Cl2O4
_space_group_name_H-M_alt 'P 1 21/c 1'
_space_group_IT_number 14
_cell_length_a 8.920
_cell_length_b 10.152
_cell_length_c 12.707
_cell_angle_alpha 90.00
_cell_angle_beta 116.33
_cell_angle_gamma 90.00
loop_
_space_group_symop_operation_xyz
'x,y,z'
'-x,-y,-z'
'-x,y+1/2,-z+1/2'
'x,-y+1/2,z+1/2'
loop_
_atom_site_label
_atom_site_type_symbol
_atom_site_fract_x
_atom_site_fract_y
_atom_site_fract_z
_atom_site_occupancy
Ca1 Ca 0.000 0.000 0.000 1
Ca2 Ca 0.252 0.045 0.641 1
H1 H 0.048 0.691 0.144 1
H2 H 0.103 0.540 0.881 1
H3 H 0.111 0.663 0.953 1
H4 H 0.155 0.656 0.277 1
H5 H 0.194 0.209 0.249 1
H6 H 0.198 0.187 0.839 1
H7 H 0.386 0.651 0.773 1
H8 H 0.406 0.563 0.391 1
H9 H 0.422 0.676 0.072 1
H10 H 0.442 0.067 0.368 1
H11 H 0.450 0.517 0.617 1
H12 H 0.499 0.724 0.312 1
Cl1 Cl 0.161 0.224 0.995 1
Cl2 Cl 0.177 0.504 0.739 1
Cl3 Cl 0.248 0.641 0.476 1
O1 O 0.080 0.570 0.945 1
O2 O 0.148 0.643 0.199 1
O3 O 0.204 0.196 0.765 1
O4 O 0.438 0.583 0.092 1
O5 O 0.455 0.540 0.338 1
O6 O 0.500 0.182 0.700 1
```

The value obtained for the calculated formation energy is -1378 meV per atom.

2.
The following is a r2SCAN calculation of an optimized crystal structure of Ca4Cl6O, from Materials Project.

The structure in CIF format:
```
data_Ca4Cl6O
_space_group_name_H-M_alt 'P 63 m c'
_space_group_IT_number 186
_space_group_name_Hall 'P 6c -2c'
_cell_length_a 9.0659
_cell_length_b 9.0659
_cell_length_c 6.8636
_cell_angle_alpha 90.00
_cell_angle_beta 90.00
_cell_angle_gamma 120.00
loop_
_atom_site_label
_atom_site_type_symbol
_atom_site_fract_x
_atom_site_fract_y
_atom_site_fract_z
_atom_site_occupancy
Ca1 Ca 0.1983 0.3965 0.0000 1
Ca2 Ca 0.3333 0.6667 0.4275 1
Cl1 Cl 0.0728 0.5364 0.7094 1
Cl2 Cl 0.1372 0.2745 0.3848 1
O1 O 0.3333 0.6667 0.1060 1
```

The value obtained for the calculated formation energy is -2774 meV per atom.

3.
The following is a r2SCAN calculation of an optimized crystal structure of Ca2P3Pb3ClO12, from Materials Project.

The structure in CIF format:
```
data_Ca2P3Pb3ClO12
_space_group_name_H-M_alt 'P 63/m'
_space_group_IT_number 176
_space_group_name_Hall '-P 6c'
_cell_length_a 9.8493
_cell_length_b 9.8493
_cell_length_c 7.0822
_cell_angle_alpha 90.00
_cell_angle_beta 90.00
_cell_angle_gamma 120.00
loop_
_atom_site_label
_atom_site_type_symbol
_atom_site_fract_x
_atom_site_fract_y
_atom_site_fract_z
_atom_site_occupancy
Ca1 Ca 0.3333 0.6667 0.0057 1
P1 P 0.0345 0.4220 0.7500 1
Pb1 Pb 0.0109 0.7530 0.7500 1
Cl1 Cl 0.0000 0.0000 0.0000 1
O1 O 0.0846 0.3656 0.5745 1
O2 O 0.1387 0.6043 0.7500 1
O3 O 0.1399 0.6280 0.2500 1
```

The value obtained for the calculated formation energy is -2512 meV per atom.

4.
The following is a r2SCAN calculation of an optimized crystal structure of Ca5V3ClO12, from Materials Project.

The structure in CIF format:
```
data_Ca5V3ClO12
_space_group_name_H-M_alt 'P 63/m'
_space_group_IT_number 176
_space_group_name_Hall '-P 6c'
_cell_length_a 10.1930
_cell_length_b 10.1930
_cell_length_c 6.6960
_cell_angle_alpha 90.00
_cell_angle_beta 90.00
_cell_angle_gamma 120.00
loop_
_atom_site_label
_atom_site_type_symbol
_atom_site_fract_x
_atom_site_fract_y
_atom_site_fract_z
_atom_site_occupancy
Ca1 Ca 0.0336 0.2676 0.2500 1
Ca2 Ca 0.3333 0.6667 0.5043 1
V1 V 0.0318 0.6160 0.2500 1
Cl1 Cl 0.0000 0.0000 0.0000 1
O1 O 0.0870 0.7357 0.0481 1
O2 O 0.1433 0.5310 0.2500 1
O3 O 0.1558 0.5154 0.7500 1
```

The value obtained for the calculated formation energy is -3085 meV per atom.

5.
The following is a r2SCAN calculation of an optimized crystal structure of Sr4CaCl10, from Materials Project.

The structure in CIF format:
```
data_Sr4CaCl10
_space_group_name_H-M_alt 'I m m m'
_space_group_IT_number 71
_space_group_name_Hall '-I 2 2'
_cell_length_a 4.916
_cell_length_b 6.947
_cell_length_c 24.499
_cell_angle_alpha 90.00
_cell_angle_beta 90.00
_cell_angle_gamma 90.00
loop_
_atom_site_label
_atom_site_type_symbol
_atom_site_fract_x
_atom_site_fract_y
_atom_site_fract_z
_atom_site_occupancy
Sr1 Sr 0.000 0.000 0.098 1
Sr2 Sr 0.000 0.000 0.301 1
Ca1 Ca 0.000 0.000 0.500 1
Cl1 Cl 0.000 0.246 0.403 1
Cl2 Cl 0.000 0.249 0.199 1
Cl3 Cl 0.000 0.260 0.000 1
```

The value obtained for the calculated formation energy is -2718 meV per atom.

6.
The following is a r2SCAN calculation of an optimized crystal structure of CaCoF6, from Materials Project.

The structure in CIF format:
```
data_CaCoF6
_space_group_name_H-M_alt 'R -3'
_space_group_IT_number 148
_space_group_name_Hall '-R 3'
_cell_length_a 5.2425
_cell_length_b 5.2425
_cell_length_c 14.2067
_cell_angle_alpha 90.00
_cell_angle_beta 90.00
_cell_angle_gamma 120.00
loop_
_atom_site_label
_atom_site_type_symbol
_atom_site_fract_x
_atom_site_fract_y
_atom_site_fract_z
_atom_site_occupancy
Ca1 Ca 0.0000 0.0000 0.0000 1
Co1 Co 0.0000 0.0000 0.5000 1
F1 F 0.0055 0.7154 0.5751 1
```

The value obtained for the calculated formation energy is -2674 meV per atom.

7.
The following is a r2SCAN calculation of an optimized crystal structure of Ca2CoN2, from Materials Project.

The structure in CIF format:
```
data_Ca2CoN2
_space_group_name_H-M_alt 'C 1 2/m 1'
_space_group_IT_number 12
_cell_length_a 10.796
_cell_length_b 4.938
_cell_length_c 6.693
_cell_angle_alpha 90.00
_cell_angle_beta 121.06
_cell_angle_gamma 90.00
loop_
_space_group_symop_operation_xyz
'x,y,z'
'-x,-y,-z'
'-x,y,-z'
'x,-y,z'
'x+1/2,y+1/2,z'
'-x+1/2,-y+1/2,-z'
'-x+1/2,y+1/2,-z'
'x+1/2,-y+1/2,z'
loop_
_atom_site_label
_atom_site_type_symbol
_atom_site_fract_x
_atom_site_fract_y
_atom_site_fract_z
_atom_site_occupancy
Ca1 Ca 0.040 0.000 0.271 1
Ca2 Ca 0.177 0.500 0.094 1
Co1 Co 0.133 0.500 0.620 1
N1 N 0.022 0.500 0.302 1
N2 N 0.190 0.000 0.113 1
```

The value obtained for the calculated formation energy is -780 meV per atom.

8.
The following is a r2SCAN calculation of an optimized crystal structure of Ca2CoN2, from Materials Project.

The structure in CIF format:
```
data_Ca2CoN2
_space_group_name_H-M_alt 'I 4/m m m'
_space_group_IT_number 139
_space_group_name_Hall '-I 4 2'
_cell_length_a 3.555
_cell_length_b 3.555
_cell_length_c 12.328
_cell_angle_alpha 90.00
_cell_angle_beta 90.00
_cell_angle_gamma 90.00
loop_
_atom_site_label
_atom_site_type_symbol
_atom_site_fract_x
_atom_site_fract_y
_atom_site_fract_z
_atom_site_occupancy
Ca1 Ca 0.000 0.000 0.155 1
Co1 Co 0.000 0.000 0.500 1
N1 N 0.000 0.000 0.356 1
```

The value obtained for the calculated formation energy is -834 meV per atom.

9.
The following is a r2SCAN calculation of an optimized crystal structure of Ca3Co2O6, from Materials Project.

The structure in CIF format:
```
data_Ca3Co2O6
_space_group_name_H-M_alt 'R -3 c'
_space_group_IT_number 167
_space_group_name_Hall '-R 3 2"c'
_cell_length_a 9.0426
_cell_length_b 9.0426
_cell_length_c 10.4089
_cell_angle_alpha 90.00
_cell_angle_beta 90.00
_cell_angle_gamma 120.00
loop_
_atom_site_label
_atom_site_type_symbol
_atom_site_fract_x
_atom_site_fract_y
_atom_site_fract_z
_atom_site_occupancy
Ca1 Ca 0.0000 0.3688 0.2500 1
Co1 Co 0.0000 0.0000 0.0000 1
Co2 Co 0.0000 0.0000 0.2500 1
O1 O 0.0215 0.1742 0.3852 1
```

The value obtained for the calculated formation energy is -2361 meV per atom.

10.
The following is a r2SCAN calculation of an optimized crystal structure of CaCo2O4, from Materials Project.

The structure in CIF format:
```
data_CaCo2O4
_space_group_name_H-M_alt 'P n m a'
_space_group_IT_number 62
_cell_length_a 8.775
_cell_length_b 2.904
_cell_length_c 10.260
_cell_angle_alpha 90.00
_cell_angle_beta 90.00
_cell_angle_gamma 90.00
loop_
_space_group_symop_operation_xyz
'x,y,z'
'-x,-y,-z'
'-x+1/2,-y,z+1/2'
'x+1/2,y,-z+1/2'
'x+1/2,-y+1/2,-z+1/2'
'-x+1/2,y+1/2,z+1/2'
'-x,y+1/2,-z'
'x,-y+1/2,z'
loop_
_atom_site_label
_atom_site_type_symbol
_atom_site_fract_x
_atom_site_fract_y
_atom_site_fract_z
_atom_site_occupancy
Ca1 Ca 0.239 0.250 0.164 1
Co1 Co 0.057 0.250 0.388 1
Co2 Co 0.084 0.250 0.902 1
O1 O 0.032 0.750 0.788 1
O2 O 0.080 0.250 0.572 1
O3 O 0.114 0.750 0.023 1
O4 O 0.198 0.750 0.345 1
```

The value obtained for the calculated formation energy is -1905 meV per atom.

11.
The following is a r2SCAN calculation of an optimized crystal structure of Ca2Co3O8, from Materials Project.

The structure in CIF format:
```
data_Ca2Co3O8
_space_group_name_H-M_alt 'C 1 2/m 1'
_space_group_IT_number 12
_cell_length_a 10.913
_cell_length_b 5.721
_cell_length_c 4.894
_cell_angle_alpha 90.00
_cell_angle_beta 109.35
_cell_angle_gamma 90.00
loop_
_space_group_symop_operation_xyz
'x,y,z'
'-x,-y,-z'
'-x,y,-z'
'x,-y,z'
'x+1/2,y+1/2,z'
'-x+1/2,-y+1/2,-z'
'-x+1/2,y+1/2,-z'
'x+1/2,-y+1/2,z'
loop_
_atom_site_label
_atom_site_type_symbol
_atom_site_fract_x
_atom_site_fract_y
_atom_site_fract_z
_atom_site_occupancy
Ca1 Ca 0.227 0.000 0.174 1
Co1 Co 0.000 0.243 0.500 1
Co2 Co 0.000 0.500 0.000 1
O1 O 0.095 0.500 0.403 1
O2 O 0.098 0.277 0.891 1
O3 O 0.100 0.000 0.461 1
```

The value obtained for the calculated formation energy is -1831 meV per atom.

12.
The following is a r2SCAN calculation of an optimized crystal structure of Ca3Co2O6, from Materials Project.

The structure in CIF format:
```
data_Ca3Co2O6
_space_group_name_H-M_alt 'C 1 2/c 1'
_space_group_IT_number 15
_cell_length_a 8.628
_cell_length_b 9.051
_cell_length_c 6.300
_cell_angle_alpha 90.00
_cell_angle_beta 93.80
_cell_angle_gamma 90.00
loop_
_space_group_symop_operation_xyz
'x,y,z'
'-x,-y,-z'
'-x,y,-z+1/2'
'x,-y,z+1/2'
'x+1/2,y+1/2,z'
'-x+1/2,-y+1/2,-z'
'-x+1/2,y+1/2,-z+1/2'
'x+1/2,-y+1/2,z+1/2'
loop_
_atom_site_label
_atom_site_type_symbol
_atom_site_fract_x
_atom_site_fract_y
_atom_site_fract_z
_atom_site_occupancy
Ca1 Ca 0.000 0.122 0.250 1
Ca2 Ca 0.182 0.436 0.382 1
Co1 Co 0.000 0.243 0.750 1
Co2 Co 0.250 0.250 0.000 1
O1 O 0.063 0.351 0.044 1
O2 O 0.124 0.086 0.913 1
O3 O 0.221 0.313 0.712 1
```

The value obtained for the calculated formation energy is -2374 meV per atom.

13.
The following is a r2SCAN calculation of an optimized crystal structure of CaCo2Si2, from Materials Project.

The structure in CIF format:
```
data_CaCo2Si2
_space_group_name_H-M_alt 'I 4/m m m'
_space_group_IT_number 139
_space_group_name_Hall '-I 4 2'
_cell_length_a 3.870
_cell_length_b 3.870
_cell_length_c 9.876
_cell_angle_alpha 90.00
_cell_angle_beta 90.00
_cell_angle_gamma 90.00
loop_
_atom_site_label
_atom_site_type_symbol
_atom_site_fract_x
_atom_site_fract_y
_atom_site_fract_z
_atom_site_occupancy
Ca1 Ca 0.000 0.000 0.000 1
Co1 Co 0.000 0.500 0.250 1
Si1 Si 0.000 0.000 0.366 1
```

The value obtained for the calculated formation energy is -552 meV per atom.